Version A
This record from Materials Project describes a relaxed structure of SrI2O15. The functional is PBE.

Output
Density (kg/m3): 2730

abc: 6.2302 10.6741 10.8222
angles: 85.35 80.56 87.70
Closest atoms and distances in Å follow each position.
Positions (direct):
Sr: 0.1590 0.4001 0.2354  4 O 2.39-2.66
Sr: 0.8410 0.5999 0.7645  4 O 2.39-2.66
I: 0.2664 0.3562 0.5419  4 O 1.78-1.81
I: 0.2911 0.7526 0.9698  6 O 1.83-1.93
I: 0.7089 0.2474 0.0302  6 O 1.83-1.93
I: 0.7336 0.6438 0.4581  4 O 1.78-1.81
O: 0.0331 0.0265 0.6880  1 O 1.21
O: 0.0513 0.7325 0.8948  1 I 1.84
O: 0.0900 0.2684 0.4654  1 I 1.81
O: 0.0922 0.4802 0.0032  1 O 1.22
O: 0.1022 0.4546 0.6496  1 I 1.80
O: 0.1460 0.8636 0.0909  1 I 1.93
O: 0.1522 0.9854 0.3298  1 O 1.21
O: 0.2621 0.6129 0.0884  1 I 1.88
O: 0.2636 0.8807 0.6085  1 O 1.22
O: 0.3465 0.9221 0.8992  1 I 1.93
O: 0.3998 0.4500 0.4065  1 I 1.81
O: 0.4396 0.2541 0.6226  1 I 1.78
O: 0.4421 0.8791 0.6403  1 O 1.22
O: 0.4828 0.1855 0.9503  1 I 1.93
O: 0.4876 0.6792 0.8497  1 I 1.83
O: 0.5124 0.3208 0.1503  1 I 1.83
O: 0.5172 0.8145 0.0497  1 I 1.93
O: 0.5579 0.1209 0.3597  1 O 1.22
O: 0.5604 0.7459 0.3774  1 I 1.78
O: 0.6002 0.5500 0.5935  1 I 1.81
O: 0.6535 0.0779 0.1008  1 I 1.93
O: 0.7364 0.1193 0.3915  1 O 1.22
O: 0.7379 0.3871 0.9116  1 I 1.88
O: 0.8478 0.0146 0.6702  1 O 1.21
O: 0.8540 0.1364 0.9091  1 I 1.93
O: 0.8978 0.5454 0.3504  1 I 1.80
O: 0.9078 0.5198 0.9968  1 O 1.22
O: 0.9100 0.7316 0.5346  1 I 1.81
O: 0.9487 0.2675 0.1052  1 I 1.84
O: 0.9669 0.9735 0.3120  1 O 1.21

***

Version B
This record from Materials Project describes a relaxed structure of SrI2O15. The functional is PBE.

Output
Density (kg/m3): 2670

abc: 6.4462 10.5417 10.8926
angles: 77.97 87.63 88.13
Closest atoms and distances in Å follow each position.
Positions (direct):
Sr: 0.2216 0.3532 0.2114  5 O 2.40-2.66
Sr: 0.7784 0.6468 0.7886  5 O 2.40-2.66
I: 0.2492 0.2666 0.5352  6 O 1.85-1.96
I: 0.2743 0.7552 0.9885  6 O 1.84-1.93
I: 0.7257 0.2448 0.0115  6 O 1.84-1.93
I: 0.7508 0.7334 0.4648  6 O 1.85-1.96
O: 0.0225 0.3197 0.4302  1 I 1.89
O: 0.0266 0.4696 0.9593  1 O 1.23
O: 0.0372 0.7529 0.9009  1 I 1.84
O: 0.1382 0.1140 0.6245  1 I 1.85
O: 0.1455 0.3407 0.6668  1 I 1.86
O: 0.1587 0.8688 0.0925  1 I 1.93
O: 0.2321 0.6047 0.1156  1 I 1.89
O: 0.2919 0.8690 0.3957  1 O 1.21
O: 0.3104 0.9356 0.4721  1 O 1.21
O: 0.3489 0.4197 0.4232  1 I 1.92
O: 0.3509 0.9285 0.9083  1 I 1.92
O: 0.3834 0.1926 0.4069  1 I 1.90
O: 0.4459 0.6735 0.8889  1 I 1.84
O: 0.4895 0.7502 0.3759  1 O 1.80, 1 I 1.96
O: 0.5004 0.1992 0.9192  1 I 1.93
O: 0.4996 0.8008 0.0808  1 I 1.93
O: 0.5105 0.2498 0.6241  1 O 1.80, 1 I 1.96
O: 0.5541 0.3265 0.1111  1 I 1.84
O: 0.6166 0.8074 0.5931  1 I 1.90
O: 0.6491 0.0715 0.0917  1 I 1.92
O: 0.6511 0.5803 0.5768  1 I 1.92
O: 0.6896 0.0644 0.5279  1 O 1.21
O: 0.7081 0.1310 0.6043  1 O 1.21
O: 0.7679 0.3953 0.8844  1 I 1.89
O: 0.8413 0.1312 0.9075  1 I 1.93
O: 0.8545 0.6593 0.3332  1 I 1.86
O: 0.8618 0.8860 0.3755  1 I 1.85
O: 0.9628 0.2471 0.0991  1 I 1.84
O: 0.9734 0.5304 0.0407  1 O 1.23
O: 0.9775 0.6803 0.5698  1 I 1.89

***

In terms of stability, version A leads; the second structure lies 227 meV per atom higher.

***

Version A
This record from Materials Project describes a relaxed structure of HfCrAgS4. The functional is PBE.

Output
Density (kg/m3): 4782

abc: 6.6073 7.7275 12.8610
angles: 81.80 85.74 89.75
Closest atoms and distances in Å follow each position.
Positions (direct):
Hf: 0.0000 0.0000 0.0000  6 S 2.48-2.62
Hf: 0.0956 0.1789 0.3058  4 S 2.38-2.46
Hf: 0.4822 0.7587 0.9996  6 S 2.49-2.60
Hf: 0.8753 0.3349 0.6965  4 S 2.40-2.46
Cr: 0.3950 0.5902 0.7027  4 S 2.18-2.34
Cr: 0.6000 0.4383 0.2957  4 S 2.21-2.33
Cr: 0.6065 0.9307 0.2963  4 S 2.23-2.35
Cr: 0.8659 0.8298 0.7011  4 S 2.22-2.36
Ag: 0.1210 0.6825 0.3067  4 S 2.49-2.55
Ag: 0.3751 0.0834 0.6963  4 S 2.50-2.56
Ag: 0.4926 0.2689 0.9995  6 S 2.66-2.88
Ag: 0.9847 0.5201 0.9999  6 S 2.64-2.82
S: 0.0244 0.0907 0.6243  1 Cr 2.33, 1 Hf 2.40, 1 Ag 2.56
S: 0.0702 0.6076 0.6411  2 Cr 2.34-2.36, 1 Hf 2.46
S: 0.1150 0.2182 0.1180  2 Hf 2.38-2.58
S: 0.1507 0.7431 0.1060  2 Hf 2.49, 2 Ag 2.55-2.64
S: 0.3336 0.0250 0.8970  2 Hf 2.48-2.52, 2 Ag 2.55-2.71
S: 0.3586 0.5544 0.8776  1 Cr 2.22
S: 0.4448 0.1699 0.3605  2 Cr 2.33-2.35, 1 Hf 2.46
S: 0.4756 0.6691 0.3607  2 Cr 2.21-2.23
S: 0.5464 0.3691 0.6274  1 Cr 2.27, 1 Hf 2.41, 1 Ag 2.50
S: 0.5649 0.8262 0.6345  2 Cr 2.18-2.22
S: 0.6193 0.4925 0.1199  1 Cr 2.23
S: 0.6556 0.9575 0.1140  1 Cr 2.32, 1 Hf 2.60
S: 0.8221 0.8097 0.8842  1 Cr 2.33, 2 Hf 2.58-2.60
S: 0.8597 0.2764 0.8857  2 Hf 2.40-2.62
S: 0.9064 0.4144 0.3689  1 Cr 2.29, 1 Hf 2.40, 1 Ag 2.52
S: 0.9070 0.9203 0.3747  1 Cr 2.29, 1 Hf 2.38, 1 Ag 2.53

***

Version B
This record from Materials Project describes a relaxed structure of HfCrAgS4. The functional is PBE.

Output
Density (kg/m3): 5680

abc: 6.0097 3.5134 12.9252
angles: 90.00 91.40 90.00
Closest atoms and distances in Å follow each position.
Positions (direct):
Hf: 0.2467 0.2500 0.0028  6 S 2.52-2.56
Hf: 0.7533 0.7500 0.9972  6 S 2.52-2.56
Cr: 0.3037 0.2500 0.4977  5 S 2.29-2.47
Cr: 0.6963 0.7500 0.5023  5 S 2.29-2.47
Ag: 0.2381 0.2500 0.7308  6 S 2.69-2.80
Ag: 0.7619 0.7500 0.2692  6 S 2.69-2.80
S: 0.0903 0.7500 0.1211  3 Hf 2.53-2.55, 1 Ag 2.78
S: 0.0912 0.7500 0.5868  3 Cr 2.47-2.59, 2 Ag 2.69
S: 0.3981 0.7500 0.3890  3 Cr 2.29-2.33
S: 0.4090 0.7500 0.8818  3 Hf 2.52-2.56, 2 Ag 2.80
S: 0.5910 0.2500 0.1182  3 Hf 2.52-2.56, 2 Ag 2.80
S: 0.6019 0.2500 0.6110  3 Cr 2.29-2.33
S: 0.9088 0.2500 0.4132  3 Cr 2.47-2.59, 2 Ag 2.69
S: 0.9097 0.2500 0.8789  3 Hf 2.53-2.55, 1 Ag 2.78

***

In terms of stability, version B leads; the second structure lies 107 meV per atom higher.